1.
DFT (PBE) results for a relaxed BSBr crystal.

Properties
calculated density	2.0	g/cm3
V	34.6	Å³ per atom
formation energy	-2.6	eV per formula unit

abc: 14.6871 4.9544 18.9268
angles: 90.00 115.28 90.00
Last column: nearest neighbours and their distance in Å.
Space group P2_1/c (No. 14)
Unique sites:
B: 0.1125 0.1599 0.1639 (multiplicity 4)  2 S 1.80-1.81, 1 Br 1.93
B: 0.2521 0.1541 0.6003 (multiplicity 4)  2 S 1.80-1.81, 1 Br 1.93
B: 0.3246 0.2388 0.7690 (multiplicity 4)  2 S 1.80, 1 Br 1.93
S: 0.1231 0.2442 0.5758 (multiplicity 4)  2 B 1.80
S: 0.2057 0.1442 0.2642 (multiplicity 4)  2 B 1.80-1.81
S: 0.3609 0.1340 0.6934 (multiplicity 4)  2 B 1.80-1.81
Br: 0.0210 0.5538 0.3517 (multiplicity 4)  1 B 1.93
Br: 0.2779 0.0592 0.5116 (multiplicity 4)  1 B 1.93
Br: 0.4319 0.2264 0.8733 (multiplicity 4)  1 B 1.93



2.
DFT (PBE) results for a relaxed Mn2SbAs crystal.

Properties
calculated density	7.0	g/cm3
V	18.2	Å³ per atom
formation energy	-0.4	eV per formula unit

abc: 3.8467 3.8467 5.6669
angles: 90.00 90.00 120.00
Last column: nearest neighbours and their distance in Å.
Space group P-6m2 (No. 187)
Unique sites:
Mn: 0.0000 0.0000 0.2299 (multiplicity 2)  3 As 2.57, 1 Mn 2.61, 3 Sb 2.70
Sb: 0.3333 0.6667 0.5000 (multiplicity 1)  6 Mn 2.70
As: 0.6667 0.3333 0.0000 (multiplicity 1)  6 Mn 2.57



3.
DFT (PBE) results for a relaxed SrCaSiO4 crystal.

Properties
calculated density	3.9	g/cm3
V	13.5	Å³ per atom
formation energy	-24.0	eV per formula unit

abc: 21.0796 9.4705 5.6596
angles: 90.00 90.00 90.00
Last column: nearest neighbours and their distance in Å.
Space group Pna2_1 (No. 33)
Unique sites:
Sr: 0.0564 0.0751 0.0000 (multiplicity 4)  3 O 2.37-2.61
Sr: 0.1102 0.5786 0.5244 (multiplicity 4)  2 O 2.38-2.63
Sr: 0.2221 0.4247 0.0400 (multiplicity 4)  4 O 2.38-2.63
Ca: 0.0028 0.7007 0.9972 (multiplicity 4)  8 O 2.40-2.66
Ca: 0.1648 0.2045 0.5400 (multiplicity 4)  5 O 2.36-2.47
Ca: 0.1684 0.7976 0.0341 (multiplicity 4)  6 O 2.33-2.52
Si: 0.0735 0.4138 0.0289 (multiplicity 4)  4 O 1.63-1.66
Si: 0.0937 0.9158 0.5001 (multiplicity 4)  4 O 1.62-1.66
Si: 0.2415 0.0842 0.0316 (multiplicity 4)  4 O 1.63-1.66
O: 0.0003 0.4490 0.1001 (multiplicity 4)  1 Si 1.63
O: 0.0508 0.0632 0.4977 (multiplicity 4)  1 Si 1.66
O: 0.0712 0.8153 0.2761 (multiplicity 4)  1 Si 1.66
O: 0.0788 0.8303 0.7483 (multiplicity 4)  1 Si 1.65
O: 0.0827 0.3134 0.7930 (multiplicity 4)  1 Si 1.65
O: 0.1043 0.3321 0.2615 (multiplicity 4)  1 Si 1.66
O: 0.1129 0.5633 0.9878 (multiplicity 4)  1 Si 1.66
O: 0.1679 0.0509 0.9645 (multiplicity 4)  1 Si 1.63
O: 0.1679 0.9563 0.4637 (multiplicity 4)  1 Si 1.62
O: 0.2195 0.4343 0.5809 (multiplicity 4)  1 Si 1.66
O: 0.2268 0.6572 0.2932 (multiplicity 4)  1 Si 1.66
O: 0.2474 0.6913 0.7584 (multiplicity 4)  1 Si 1.65



4.
DFT (PBE) results for a relaxed TiH8O3F6 crystal.

Properties
calculated density	2.0	g/cm3
V	10.1	Å³ per atom
formation energy	-38.0	eV per formula unit

abc: 13.1428 6.6736 8.2892
angles: 90.00 90.00 90.00
Last column: nearest neighbours and their distance in Å.
Space group Pna2_1 (No. 33)
Unique sites:
Ti: 0.1812 0.1369 0.0000 (multiplicity 4)  6 F 1.81-1.95
H: 0.0053 0.5116 0.7520 (multiplicity 4)  2 O 1.17-1.26
H: 0.0437 0.0572 0.5010 (multiplicity 4)  1 O 1.02
H: 0.1029 0.6461 0.3338 (multiplicity 4)  1 O 1.00
H: 0.1106 0.6565 0.6706 (multiplicity 4)  1 O 1.00
H: 0.1130 0.5625 0.1523 (multiplicity 4)  1 O 0.99
H: 0.1182 0.5705 0.8535 (multiplicity 4)  1 O 1.00
H: 0.1412 0.1554 0.3973 (multiplicity 4)  1 O 1.02
H: 0.1419 0.1550 0.6032 (multiplicity 4)  1 O 1.02
O: 0.0643 0.6154 0.2335 (multiplicity 4)  2 H 0.99-1.00
O: 0.0710 0.6285 0.7712 (multiplicity 4)  2 H 1.00
O: 0.0996 0.1629 0.5007 (multiplicity 4)  3 H 1.02
F: 0.0381 0.1020 0.9999 (multiplicity 4)  1 H 1.51
F: 0.1593 0.4264 0.9987 (multiplicity 4)  2 H 1.63-1.68
F: 0.1729 0.6896 0.5026 (multiplicity 4)  2 H 1.63-1.70
F: 0.1847 0.1512 0.2282 (multiplicity 4)  1 H 1.51
F: 0.1864 0.1484 0.7723 (multiplicity 4)  1 H 1.52
F: 0.2043 0.8693 0.0012 (multiplicity 4)  1 Ti 1.81



5.
DFT (PBE) results for a relaxed Nd2Si2O7 crystal.

Properties
calculated density	5.2	g/cm3
V	13.1	Å³ per atom
formation energy	-39.7	eV per formula unit

abc: 6.8220 6.8220 24.8484
angles: 90.00 90.00 90.00
Last column: nearest neighbours and their distance in Å.
Space group P4_1 (No. 76)
Unique sites:
Nd: 0.0225 0.3344 0.0000 (multiplicity 4)  7 O 2.39-2.63
Nd: 0.1550 0.4150 0.6458 (multiplicity 4)  5 O 2.32-2.48
Nd: 0.2123 0.7195 0.8963 (multiplicity 4)  7 O 2.41-2.67
Nd: 0.2547 0.6352 0.2586 (multiplicity 4)  6 O 2.40-2.57
Si: 0.1060 0.8108 0.0342 (multiplicity 4)  4 O 1.61-1.69
Si: 0.1279 0.2306 0.8786 (multiplicity 4)  4 O 1.62-1.66
Si: 0.2180 0.4807 0.7775 (multiplicity 4)  4 O 1.62-1.69
Si: 0.2549 0.3576 0.3831 (multiplicity 4)  4 O 1.62-1.68
O: 0.0113 0.9761 0.2604 (multiplicity 4)  1 Si 1.61
O: 0.0454 0.7350 0.6097 (multiplicity 4)  1 Si 1.64
O: 0.0515 0.5058 0.7312 (multiplicity 4)  1 Si 1.63
O: 0.0534 0.3604 0.5533 (multiplicity 4)  1 Si 1.66
O: 0.0707 0.8289 0.4100 (multiplicity 4)  1 Si 1.62
O: 0.0815 0.3771 0.8266 (multiplicity 4)  2 Si 1.66-1.69
O: 0.1016 0.3924 0.4333 (multiplicity 4)  1 Si 1.65
O: 0.1184 0.2237 0.3407 (multiplicity 4)  2 Si 1.68-1.69
O: 0.2260 0.5654 0.1581 (multiplicity 4)  1 Si 1.64
O: 0.2645 0.7064 0.9937 (multiplicity 4)  1 Si 1.64
O: 0.2668 0.3643 0.9192 (multiplicity 4)  1 Si 1.66
O: 0.2983 0.6847 0.8026 (multiplicity 4)  1 Si 1.62
O: 0.3343 0.6137 0.5042 (multiplicity 4)  1 Si 1.63
O: 0.3364 0.5491 0.3513 (multiplicity 4)  1 Si 1.62



6.
DFT (PBE) results for a relaxed Sr2Cl2F crystal.

Properties
calculated density	1.0	g/cm3
V	86.3	Å³ per atom
formation energy	-9.0	eV per formula unit

abc: 5.6776 5.6776 13.3878
angles: 90.00 90.00 90.00
Last column: nearest neighbours and their distance in Å.
Space group P4/mmm (No. 123)
Unique sites:
Sr: 0.0000 0.0000 0.1723 (multiplicity 2)  1 F 2.31, 1 Cl 2.56
Cl: 0.0000 0.0000 0.3634 (multiplicity 2)  1 Sr 2.56
F: 0.0000 0.0000 0.0000 (multiplicity 1)  2 Sr 2.31



7.
DFT (PBE) results for a relaxed K2Tl6Tc crystal.

Properties
calculated density	8.3	g/cm3
V	31.1	Å³ per atom
formation energy	1.4	eV per formula unit

abc: 10.3832 10.3832 10.3832
angles: 90.00 90.00 90.00
Last column: nearest neighbours and their distance in Å.
Space group Fm-3m (No. 225)
Unique sites:
K: 0.2500 0.2500 0.2500 (multiplicity 8)  12 Tl 3.68
Tl: 0.0000 0.0000 0.2317 (multiplicity 24)  1 Tc 2.79
Tc: 0.0000 0.0000 0.5000 (multiplicity 4)  6 Tl 2.79



8.
DFT (PBE) results for a relaxed Mg5Si9 crystal.

Properties
calculated density	2.5	g/cm3
V	17.6	Å³ per atom
formation energy	9.7	eV per formula unit

abc: 5.7304 6.9185 13.6008
angles: 104.12 92.06 108.05
Last column: nearest neighbours and their distance in Å.
Space group P1 (No. 1)
Unique sites:
Mg: 0.0000 0.0000 0.0000 (multiplicity 1)  2 Si 2.47-2.72, 2 Mg 2.66-2.69
Mg: 0.0162 0.4623 0.9182 (multiplicity 1)  2 Si 2.30-2.37, 1 Mg 2.50
Mg: 0.0337 0.7009 0.3559 (multiplicity 1)  3 Si 2.29-2.52
Mg: 0.0862 0.2282 0.3858 (multiplicity 1)  4 Si 2.52-2.77
Mg: 0.2385 0.2857 0.7902 (multiplicity 1)  2 Mg 2.39-2.50
Mg: 0.3488 0.1457 0.6269 (multiplicity 1)  1 Si 2.16, 1 Mg 2.39
Mg: 0.6314 0.7081 0.8633 (multiplicity 1)  1 Si 2.48, 2 Mg 2.59-2.69
Mg: 0.7548 0.5475 0.6887 (multiplicity 1)  2 Si 2.55-2.57, 1 Mg 2.59
Mg: 0.7786 0.0883 0.1657 (multiplicity 1)  2 Si 2.31-2.46
Mg: 0.8135 0.0227 0.6513 (multiplicity 1)  2 Si 2.28-2.31
Si: 0.0670 0.4449 0.5739 (multiplicity 1)  1 Si 2.15
Si: 0.1407 0.8375 0.7914 (multiplicity 1)  2 Si 2.11-2.32
Si: 0.2470 0.3558 0.1061 (multiplicity 1)  1 Si 2.19
Si: 0.2488 0.8003 0.1745 (multiplicity 1)  2 Si 2.04-2.25
Si: 0.3349 0.7165 0.6768 (multiplicity 1)  2 Si 2.11-2.15
Si: 0.3652 0.1024 0.2650 (multiplicity 1)  1 Si 2.04
Si: 0.3934 0.9335 0.4888 (multiplicity 1)  1 Mg 2.16, 1 Si 2.35
Si: 0.4344 0.9756 0.9342 (multiplicity 1)  2 Si 2.17-2.32
Si: 0.4559 0.5509 0.4937 (multiplicity 1)  3 Si 2.35-2.60, 1 Mg 2.62
Si: 0.4619 0.5665 0.3047 (multiplicity 1)  2 Si 2.08-2.25
Si: 0.4837 0.3097 0.9859 (multiplicity 1)  2 Si 2.17-2.19
Si: 0.5397 0.7158 0.0834 (multiplicity 1)  1 Si 2.25, 1 Mg 2.46
Si: 0.6619 0.8851 0.3653 (multiplicity 1)  1 Si 2.08
Si: 0.6634 0.3012 0.4677 (multiplicity 1)  3 Si 2.35-2.63
Si: 0.7304 0.1642 0.8126 (multiplicity 1)  2 Mg 2.30-2.31
Si: 0.7403 0.4061 0.2538 (multiplicity 1)  1 Si 2.25, 2 Mg 2.29-2.31
Si: 0.8916 0.5565 0.0823 (multiplicity 1)  2 Si 2.29-2.51, 1 Mg 2.37
Si: 0.9491 0.8253 0.5208 (multiplicity 1)  2 Mg 2.28-2.32, 1 Si 2.51